i.
## V2CoH8O10 (PBE+U)

Data for crystalline V2CoH8O10 at its relaxed geometry.

abc: 13.703 9.750 7.069
angles: 90.00 111.74 90.00
Fractional coordinates of all 84 atoms:
1 H 0.693 0.091 0.538
2 H 0.903 0.337 0.336
3 H 0.403 0.837 0.336
4 H 0.138 0.684 0.346
5 H 0.307 0.909 0.462
6 H 0.807 0.591 0.962
7 H 0.403 0.163 0.836
8 H 0.888 0.450 0.164
9 H 0.903 0.663 0.836
10 H 0.807 0.409 0.462
11 H 0.193 0.591 0.538
12 H 0.112 0.550 0.836
13 H 0.862 0.684 0.154
14 H 0.638 0.184 0.346
15 H 0.888 0.550 0.664
16 H 0.362 0.184 0.154
17 H 0.693 0.909 0.038
18 H 0.097 0.663 0.664
19 H 0.388 0.050 0.664
20 H 0.638 0.816 0.846
21 H 0.307 0.091 0.962
22 H 0.597 0.837 0.164
23 H 0.138 0.316 0.846
24 H 0.862 0.316 0.654
25 H 0.597 0.163 0.664
26 H 0.097 0.337 0.164
27 H 0.362 0.816 0.654
28 H 0.193 0.409 0.038
29 H 0.112 0.450 0.336
30 H 0.612 0.950 0.336
31 H 0.612 0.050 0.836
32 H 0.388 0.950 0.164
33 O 0.202 0.917 0.810
34 O 0.382 0.850 0.188
35 O 0.702 0.417 0.810
36 O 0.341 0.319 0.316
37 O 0.159 0.819 0.184
38 O 0.341 0.681 0.816
39 O 0.882 0.350 0.188
40 O 0.382 0.150 0.688
41 O 0.058 0.040 0.921
42 O 0.618 0.850 0.312
43 O 0.058 0.960 0.421
44 O 0.882 0.650 0.688
45 O 0.442 0.540 0.579
46 O 0.118 0.350 0.312
47 O 0.124 0.388 0.932
48 O 0.876 0.388 0.568
49 O 0.659 0.681 0.684
50 O 0.702 0.583 0.310
51 O 0.124 0.612 0.432
52 O 0.659 0.319 0.184
53 O 0.841 0.819 0.316
54 O 0.298 0.417 0.690
55 O 0.202 0.083 0.310
56 O 0.798 0.917 0.690
57 O 0.442 0.460 0.079
58 O 0.624 0.888 0.932
59 O 0.618 0.150 0.812
60 O 0.118 0.650 0.812
61 O 0.798 0.083 0.190
62 O 0.841 0.181 0.816
63 O 0.376 0.888 0.568
64 O 0.876 0.612 0.068
65 O 0.376 0.112 0.068
66 O 0.558 0.460 0.421
67 O 0.942 0.040 0.579
68 O 0.558 0.540 0.921
69 O 0.624 0.112 0.432
70 O 0.298 0.583 0.190
71 O 0.159 0.181 0.684
72 O 0.942 0.960 0.079
73 Co 0.750 0.250 0.000
74 Co 0.750 0.750 0.500
75 Co 0.250 0.250 0.500
76 Co 0.250 0.750 0.000
77 V 0.103 0.972 0.193
78 V 0.603 0.528 0.693
79 V 0.397 0.528 0.807
80 V 0.897 0.028 0.807
81 V 0.897 0.972 0.307
82 V 0.103 0.028 0.693
83 V 0.603 0.472 0.193
84 V 0.397 0.472 0.307

***

ii.
## V2CoH8O10 (PBE+U)

Data for crystalline V2CoH8O10 at its relaxed geometry.

Calculated values
The space-group type is C2/c (15).

abc: 8.386 8.386 7.125
angles: 74.14 74.14 73.67
Fractional coordinates of all 42 atoms:
1 O 0.897 0.707 0.301
2 O 0.293 0.103 0.199
3 O 0.668 0.995 0.186
4 O 0.332 0.005 0.814
5 O 0.995 0.668 0.686
6 O 0.986 0.898 0.920
7 O 0.276 0.489 0.974
8 O 0.102 0.014 0.580
9 O 0.466 0.765 0.157
10 O 0.489 0.276 0.474
11 O 0.724 0.511 0.026
12 O 0.707 0.897 0.801
13 O 0.898 0.986 0.420
14 O 0.534 0.235 0.843
15 O 0.103 0.293 0.699
16 O 0.005 0.332 0.314
17 O 0.014 0.102 0.080
18 O 0.511 0.724 0.526
19 O 0.235 0.534 0.343
20 O 0.765 0.466 0.657
21 V 0.916 0.875 0.691
22 V 0.125 0.084 0.809
23 V 0.875 0.916 0.191
24 V 0.084 0.125 0.309
25 H 0.419 0.194 0.496
26 H 0.779 0.396 0.088
27 H 0.532 0.669 0.096
28 H 0.604 0.221 0.412
29 H 0.396 0.779 0.588
30 H 0.806 0.581 0.004
31 H 0.260 0.507 0.209
32 H 0.331 0.468 0.404
33 H 0.740 0.493 0.791
34 H 0.194 0.419 0.996
35 H 0.669 0.532 0.596
36 H 0.493 0.740 0.291
37 H 0.581 0.806 0.504
38 H 0.468 0.331 0.904
39 H 0.221 0.604 0.912
40 H 0.507 0.260 0.709
41 Co 0.500 0.000 0.000
42 Co 0.000 0.500 0.500

***

Stability ranking, top entry: i; the second entry is 15 meV per atom less favorable.

***

i.
## HfMg6CoO8 (PBE+U)

Data for crystalline HfMg6CoO8 at its relaxed geometry.

Calculated values
The space-group type is P4/mmm (123).

abc: 8.851 4.338 4.338
angles: 90.00 90.00 90.00
Fractional coordinates of all 16 atoms:
1 Mg 0.771 0.500 0.000
2 Mg 0.229 0.500 0.000
3 Mg 0.500 0.500 0.500
4 Mg 0.771 0.000 0.500
5 Mg 0.229 0.000 0.500
6 Mg 0.000 0.500 0.500
7 O 0.500 0.000 0.500
8 O 0.500 0.500 0.000
9 O 0.250 0.500 0.500
10 O 0.000 0.500 0.000
11 O 0.750 0.500 0.500
12 O 0.266 0.000 0.000
13 O 0.000 0.000 0.500
14 O 0.734 0.000 0.000
15 Hf 0.500 0.000 0.000
16 Co 0.000 0.000 0.000

***

ii.
## HfMg6CoO8 (PBE+U)

Data for crystalline HfMg6CoO8 at its relaxed geometry.

Calculated values
The space-group type is P4/mmm (123).

abc: 8.838 4.294 4.294
angles: 90.00 90.00 90.00
Fractional coordinates of all 16 atoms:
1 O 0.000 0.500 0.000
2 O 0.500 0.000 0.500
3 O 0.747 0.500 0.500
4 O 0.253 0.500 0.500
5 O 0.264 0.000 0.000
6 O 0.000 0.000 0.500
7 O 0.500 0.500 0.000
8 O 0.736 0.000 0.000
9 Mg 0.257 0.500 0.000
10 Mg 0.743 0.000 0.500
11 Mg 0.743 0.500 0.000
12 Mg 0.500 0.000 0.000
13 Mg 0.500 0.500 0.500
14 Mg 0.257 0.000 0.500
15 Co 0.000 0.000 0.000
16 Hf 0.000 0.500 0.500

***

Stability ranking, top entry: ii; the second entry is 28 meV per atom less favorable.

***

i.
## MgCo4Hg2O8 (PBE+U)

Data for crystalline MgCo4Hg2O8 at its relaxed geometry.

Calculated values
The space-group type is P1 (1).

abc: 7.098 7.190 6.299
angles: 52.51 102.24 130.00
Fractional coordinates of all 15 atoms:
1 O 0.444 0.257 0.333
2 O 0.334 0.802 0.872
3 O 0.967 0.720 0.301
4 O 0.432 0.343 0.786
5 O 0.813 0.292 0.851
6 O 0.821 0.183 0.435
7 O 0.890 0.767 0.772
8 O 0.406 0.787 0.411
9 Hg 0.261 0.427 0.343
10 Hg 0.881 0.998 0.086
11 Co 0.654 0.242 0.572
12 Co 0.627 0.756 0.621
13 Co 0.632 0.277 0.091
14 Co 0.151 0.759 0.592
15 Mg 0.163 0.891 0.960

***

ii.
## MgCo4Hg2O8 (PBE+U)

Data for crystalline MgCo4Hg2O8 at its relaxed geometry.

Calculated values
The space-group type is Cm (8).

abc: 6.675 6.606 6.630
angles: 59.88 90.00 119.96
Fractional coordinates of all 15 atoms:
1 Mg 0.499 0.982 0.509
2 O 0.873 0.731 0.420
3 O 0.376 0.752 0.847
4 O 0.374 0.200 0.400
5 O 0.376 0.752 0.401
6 O 0.873 0.731 0.848
7 O 0.431 0.296 0.852
8 O 0.855 0.304 0.848
9 O 0.833 0.211 0.394
10 Hg 0.003 0.036 0.982
11 Hg 0.244 0.491 0.255
12 Co 0.649 0.697 0.651
13 Co 0.644 0.293 0.633
14 Co 0.644 0.293 0.074
15 Co 0.074 0.732 0.634

***

Stability ranking, top entry: i; the second entry is 349 meV per atom less favorable.

***

i.
## CoI2O6 (PBE+U)

Data for crystalline CoI2O6 at its relaxed geometry.

Calculated values
The space-group type is P3 (143).

abc: 11.093 11.093 5.139
angles: 90.00 90.00 120.00
Fractional coordinates of all 36 atoms:
1 I 0.167 0.846 0.486
2 I 0.486 0.985 0.997
3 I 0.015 0.501 0.997
4 I 0.679 0.833 0.486
5 I 0.154 0.321 0.486
6 I 0.667 0.333 0.459
7 I 0.000 0.000 0.011
8 I 0.499 0.514 0.997
9 O 0.700 0.704 0.297
10 O 0.362 0.842 0.783
11 O 0.512 0.319 0.297
12 O 0.952 0.115 0.834
13 O 0.795 0.988 0.289
14 O 0.681 0.193 0.297
15 O 0.973 0.625 0.837
16 O 0.875 0.339 0.854
17 O 0.661 0.536 0.854
18 O 0.012 0.807 0.289
19 O 0.652 0.027 0.837
20 O 0.158 0.520 0.783
21 O 0.885 0.837 0.834
22 O 0.510 0.797 0.348
23 O 0.203 0.714 0.348
24 O 0.807 0.488 0.297
25 O 0.464 0.125 0.854
26 O 0.193 0.205 0.289
27 O 0.480 0.638 0.783
28 O 0.286 0.490 0.348
29 O 0.296 0.996 0.297
30 O 0.004 0.300 0.297
31 O 0.375 0.348 0.837
32 O 0.163 0.048 0.834
33 Co 0.839 0.663 0.066
34 Co 0.337 0.175 0.066
35 Co 0.825 0.161 0.066
36 Co 0.333 0.667 0.573

***

ii.
## CoI2O6 (PBE+U)

Data for crystalline CoI2O6 at its relaxed geometry.

Calculated values
The space-group type is P2_1 (4).

abc: 5.338 10.959 10.911
angles: 61.04 90.02 90.00
Fractional coordinates of all 36 atoms:
1 I 0.499 0.151 0.665
2 I 0.998 0.349 0.335
3 I 0.468 0.687 0.663
4 I 0.968 0.313 0.836
5 I 0.999 0.849 0.835
6 I 0.468 0.187 0.164
7 I 0.968 0.813 0.336
8 I 0.498 0.651 0.165
9 O 0.782 0.174 0.978
10 O 0.344 0.319 0.551
11 O 0.282 0.826 0.522
12 O 0.782 0.839 0.182
13 O 0.862 0.464 0.853
14 O 0.282 0.662 0.817
15 O 0.782 0.674 0.477
16 O 0.287 0.535 0.133
17 O 0.782 0.338 0.683
18 O 0.345 0.819 0.050
19 O 0.287 0.035 0.633
20 O 0.362 0.537 0.647
21 O 0.787 0.465 0.367
22 O 0.282 0.326 0.022
23 O 0.355 0.618 0.332
24 O 0.356 0.118 0.832
25 O 0.860 0.963 0.353
26 O 0.844 0.181 0.449
27 O 0.844 0.681 0.949
28 O 0.360 0.037 0.146
29 O 0.787 0.965 0.866
30 O 0.855 0.382 0.168
31 O 0.282 0.161 0.318
32 O 0.856 0.882 0.668
33 Co 0.069 0.008 0.489
34 Co 0.069 0.508 0.989
35 Co 0.569 0.492 0.511
36 Co 0.570 0.992 0.011

***

Stability ranking, top entry: ii; the second entry is 8 meV per atom less favorable.

***

i.
## CoI2O6 (PBE+U)

Data for crystalline CoI2O6 at its relaxed geometry.

Calculated values
The space-group type is P-31m (162).

abc: 5.505 5.505 4.540
angles: 90.00 90.00 120.00
Fractional coordinates of all 9 atoms:
1 O 0.657 0.657 0.256
2 O 0.657 0.000 0.744
3 O 0.343 0.000 0.256
4 O 0.000 0.657 0.744
5 O 0.000 0.343 0.256
6 O 0.343 0.343 0.744
7 I 0.333 0.667 0.500
8 I 0.667 0.333 0.500
9 Co 0.000 0.000 0.000

***

ii.
## CoI2O6 (PBE+U)

Data for crystalline CoI2O6 at its relaxed geometry.

Calculated values
The space-group type is Cm (8).

abc: 5.578 5.578 4.584
angles: 88.74 88.74 121.44
Fractional coordinates of all 9 atoms:
1 O 0.687 0.687 0.250
2 O 0.647 0.996 0.739
3 O 0.347 0.983 0.258
4 O 0.996 0.647 0.739
5 O 0.320 0.320 0.763
6 O 0.983 0.347 0.258
7 I 0.343 0.675 0.499
8 I 0.675 0.343 0.499
9 Co 0.000 0.000 0.994

***

iii.
## CoI2O6 (PBE+U)

Data for crystalline CoI2O6 at its relaxed geometry.

Calculated values
The space-group type is P2_12_12_1 (19).

abc: 5.372 5.659 17.746
angles: 90.00 90.00 90.00
Fractional coordinates of all 36 atoms:
1 Co 0.223 0.328 0.900
2 Co 0.277 0.672 0.400
3 Co 0.777 0.828 0.600
4 Co 0.723 0.172 0.100
5 O 0.521 0.012 0.204
6 O 0.471 0.978 0.658
7 O 0.029 0.022 0.158
8 O 0.107 0.631 0.622
9 O 0.919 0.382 0.020
10 O 0.746 0.166 0.549
11 O 0.754 0.834 0.049
12 O 0.602 0.498 0.664
13 O 0.893 0.131 0.878
14 O 0.246 0.334 0.451
15 O 0.398 0.998 0.836
16 O 0.581 0.618 0.520
17 O 0.419 0.118 0.980
18 O 0.254 0.666 0.951
19 O 0.607 0.869 0.378
20 O 0.898 0.502 0.164
21 O 0.393 0.369 0.122
22 O 0.479 0.512 0.296
23 O 0.971 0.522 0.342
24 O 0.529 0.478 0.842
25 O 0.081 0.882 0.480
26 O 0.021 0.488 0.796
27 O 0.979 0.988 0.704
28 O 0.102 0.002 0.336
29 I 0.757 0.281 0.794
30 I 0.523 0.860 0.925
31 I 0.243 0.781 0.706
32 I 0.743 0.719 0.294
33 I 0.257 0.219 0.206
34 I 0.977 0.140 0.425
35 I 0.477 0.360 0.575
36 I 0.023 0.640 0.075

***

iv.
## CoI2O6 (PBE+U)

Data for crystalline CoI2O6 at its relaxed geometry.

Calculated values
The space-group type is P2_1/c (14).

abc: 11.208 6.689 8.069
angles: 62.65 90.00 90.00
Fractional coordinates of all 36 atoms:
1 O 0.282 0.960 0.900
2 O 0.895 0.351 0.691
3 O 0.395 0.649 0.809
4 O 0.389 0.583 0.411
5 O 0.917 0.855 0.014
6 O 0.083 0.145 0.986
7 O 0.583 0.855 0.514
8 O 0.111 0.583 0.911
9 O 0.538 0.989 0.827
10 O 0.218 0.960 0.400
11 O 0.782 0.040 0.600
12 O 0.038 0.011 0.673
13 O 0.105 0.649 0.309
14 O 0.889 0.417 0.089
15 O 0.718 0.040 0.100
16 O 0.213 0.450 0.678
17 O 0.713 0.550 0.822
18 O 0.417 0.145 0.486
19 O 0.962 0.989 0.327
20 O 0.611 0.417 0.589
21 O 0.605 0.351 0.191
22 O 0.287 0.450 0.178
23 O 0.462 0.011 0.173
24 O 0.787 0.550 0.322
25 I 0.919 0.215 0.539
26 I 0.293 0.354 0.430
27 I 0.581 0.215 0.039
28 I 0.419 0.785 0.961
29 I 0.081 0.785 0.461
30 I 0.207 0.354 0.930
31 I 0.793 0.646 0.070
32 I 0.707 0.646 0.570
33 Co 0.101 0.842 0.973
34 Co 0.899 0.158 0.027
35 Co 0.399 0.842 0.473
36 Co 0.601 0.158 0.527

***

Stability ranking, top entry: iii; the second entry is 26 meV per atom less favorable.